[1]
DFT (GGA+U) results for a relaxed LiMn2B8O14 crystal.

Cell: 6.653 6.653 5.186 Å, 90.34 90.34 115.63°
Positions (direct):
Li  0.000  0.000  0.000
Mn  0.399  0.272  0.273
Mn  0.728  0.601  0.727
B  0.180  0.289  0.742
B  0.338  0.662  0.500
B  0.342  0.658  0.000
B  0.404  0.041  0.749
B  0.711  0.820  0.258
B  0.777  0.223  0.000
B  0.784  0.216  0.500
B  0.959  0.596  0.251
O  0.205  0.083  0.736
O  0.235  0.701  0.248
O  0.248  0.419  0.519
O  0.256  0.414  0.975
O  0.299  0.765  0.752
O  0.535  0.133  0.978
O  0.541  0.121  0.524
O  0.581  0.752  0.481
O  0.586  0.744  0.025
O  0.827  0.116  0.246
O  0.867  0.465  0.022
O  0.879  0.459  0.476
O  0.884  0.173  0.754
O  0.917  0.795  0.264

Symmetry: C2
Corrected total energy (MP2020 scheme) in eV per atom: -8.19
Formation energy from the elements in eV/atom: -2.469
ΔE to the lowest computed polymorph in meV per atom: 52


[2]
DFT (GGA+U) results for a relaxed Li2Mn3B3O9 crystal.

Cell: 14.688 14.688 8.302 Å, 90.39 90.39 24.94°
Positions (direct):
Li  0.000  0.000  0.000
Li  0.170  0.170  0.083
Li  0.250  0.250  0.499
Li  0.355  0.355  0.033
Li  0.500  0.500  0.001
Li  0.605  0.605  0.530
Li  0.749  0.749  0.500
Li  0.920  0.920  0.581
Mn  0.014  0.515  0.171
Mn  0.084  0.583  0.701
Mn  0.180  0.671  0.239
Mn  0.267  0.762  0.671
Mn  0.335  0.833  0.199
Mn  0.428  0.924  0.742
Mn  0.515  0.014  0.171
Mn  0.583  0.084  0.701
Mn  0.671  0.180  0.239
Mn  0.762  0.267  0.671
Mn  0.833  0.335  0.199
Mn  0.924  0.428  0.742
B  0.006  0.006  0.364
B  0.090  0.090  0.871
B  0.179  0.673  0.872
B  0.258  0.258  0.869
B  0.340  0.340  0.367
B  0.428  0.925  0.371
B  0.509  0.509  0.369
B  0.590  0.590  0.867
B  0.673  0.179  0.872
B  0.759  0.759  0.864
B  0.840  0.840  0.374
B  0.925  0.428  0.371
O  0.053  0.053  0.342
O  0.059  0.059  0.740
O  0.071  0.071  0.025
O  0.138  0.138  0.854
O  0.139  0.668  0.725
O  0.172  0.628  0.012
O  0.226  0.723  0.881
O  0.228  0.228  0.734
O  0.238  0.238  0.023
O  0.306  0.306  0.853
O  0.310  0.310  0.233
O  0.322  0.322  0.521
O  0.388  0.388  0.335
O  0.389  0.919  0.225
O  0.419  0.882  0.511
O  0.468  0.981  0.380
O  0.480  0.480  0.235
O  0.491  0.491  0.523
O  0.558  0.558  0.351
O  0.561  0.561  0.731
O  0.571  0.571  0.020
O  0.628  0.172  0.012
O  0.637  0.637  0.840
O  0.668  0.139  0.725
O  0.723  0.226  0.881
O  0.728  0.728  0.732
O  0.741  0.741  0.019
O  0.806  0.806  0.842
O  0.810  0.810  0.244
O  0.821  0.821  0.528
O  0.882  0.419  0.511
O  0.888  0.888  0.356
O  0.919  0.389  0.225
O  0.976  0.976  0.230
O  0.981  0.468  0.380
O  0.987  0.987  0.519

Symmetry: Cm
Corrected total energy (MP2020 scheme) in eV per atom: -8.06
Formation energy from the elements in eV/atom: -2.422
ΔE to the lowest computed polymorph in meV per atom: 40


[3]
DFT (GGA+U) results for a relaxed Li2Mn3B3O9 crystal.

Cell: 5.269 8.301 9.256 Å, 104.33 105.66 90.63°
Positions (direct):
Li  0.000  0.000  0.000
Li  0.028  0.251  0.401
Li  0.352  0.343  0.686
Li  0.678  0.669  0.336
Mn  0.150  0.990  0.600
Mn  0.246  0.605  0.495
Mn  0.473  0.329  0.250
Mn  0.557  0.929  0.158
Mn  0.822  0.657  0.933
Mn  0.892  0.268  0.824
B  0.129  0.826  0.273
B  0.263  0.789  0.828
B  0.464  0.151  0.934
B  0.589  0.124  0.488
B  0.802  0.479  0.597
B  0.916  0.433  0.148
O  0.013  0.803  0.840
O  0.037  0.788  0.391
O  0.054  0.448  0.590
O  0.102  0.390  0.268
O  0.278  0.200  0.817
O  0.329  0.806  0.697
O  0.337  0.146  0.498
O  0.377  0.110  0.052
O  0.389  0.806  0.275
O  0.472  0.764  0.951
O  0.620  0.528  0.479
O  0.662  0.131  0.353
O  0.674  0.476  0.161
O  0.714  0.447  0.720
O  0.724  0.139  0.935
O  0.794  0.106  0.614
O  0.950  0.876  0.155
O  0.990  0.448  0.014

Symmetry: P1
Corrected total energy (MP2020 scheme) in eV per atom: -8.09
Formation energy from the elements in eV/atom: -2.449
ΔE to the lowest computed polymorph in meV per atom: 13


[4]
DFT (GGA+U) results for a relaxed Li2Mn3B3O9 crystal.

Cell: 8.235 6.348 8.292 Å, 90.00 119.60 90.00°
Positions (direct):
Li  0.000  0.000  0.000
Li  0.001  0.500  0.997
Li  0.422  0.500  0.678
Li  0.675  0.000  0.254
Mn  0.056  0.250  0.357
Mn  0.056  0.750  0.357
Mn  0.335  0.249  0.965
Mn  0.335  0.751  0.965
Mn  0.700  0.251  0.608
Mn  0.700  0.749  0.608
B  0.019  0.000  0.645
B  0.039  0.500  0.651
B  0.354  0.000  0.302
B  0.362  0.500  0.313
B  0.706  0.251  0.978
B  0.706  0.749  0.978
O  0.207  0.000  0.759
O  0.231  0.000  0.369
O  0.234  0.500  0.765
O  0.246  0.500  0.391
O  0.282  0.000  0.110
O  0.288  0.500  0.123
O  0.547  0.000  0.416
O  0.553  0.500  0.437
O  0.603  0.269  0.787
O  0.603  0.731  0.787
O  0.616  0.233  0.080
O  0.616  0.767  0.080
O  0.897  0.000  0.719
O  0.901  0.250  0.067
O  0.901  0.750  0.067
O  0.922  0.500  0.727
O  0.941  0.000  0.452
O  0.964  0.500  0.460

Symmetry: Pm
Corrected total energy (MP2020 scheme) in eV per atom: -8.06
Formation energy from the elements in eV/atom: -2.424
ΔE to the lowest computed polymorph in meV per atom: 39